First-principles (PBE) data for K4Zn2Sn21 after structural relaxation, as listed in the Materials Project database.

Results
Formation enthalpy at 0 K   -15 kJ/mol of atoms
VASP energy   -190.462 eV for the cell shown

a = 12.285 Å, b = 12.285 Å, c = 12.289 Å
α = 90.00°, β = 90.00°, γ = 90.04°
Sites, in units of the cell vectors:
1 K 0.251 0.499 0.250
2 K 0.501 0.749 0.750
3 K 0.999 0.001 0.500
4 K 0.749 0.499 0.250
5 K 0.501 0.251 0.750
6 K 0.999 0.001 0.000
7 K 0.501 0.001 0.250
8 K 0.999 0.499 0.750
9 Zn 0.500 0.500 0.500
10 Zn 0.750 0.000 0.750
11 Zn 0.000 0.250 0.250
12 Zn 0.500 0.500 0.000
13 Sn 0.318 0.816 0.433
14 Sn 0.682 0.182 0.068
15 Sn 0.682 0.182 0.432
16 Sn 0.318 0.816 0.067
17 Sn 0.317 0.184 0.069
18 Sn 0.681 0.817 0.434
19 Sn 0.681 0.817 0.066
20 Sn 0.317 0.184 0.431
21 Sn 0.184 0.682 0.933
22 Sn 0.818 0.318 0.568
23 Sn 0.818 0.318 0.932
24 Sn 0.184 0.682 0.567
25 Sn 0.816 0.683 0.569
26 Sn 0.183 0.319 0.934
27 Sn 0.183 0.319 0.566
28 Sn 0.816 0.683 0.931
29 Sn 0.500 0.680 0.370
30 Sn 0.386 0.000 0.559
31 Sn 0.191 0.886 0.250
32 Sn 0.500 0.319 0.130
33 Sn 0.623 0.000 0.930
34 Sn 0.820 0.123 0.250
35 Sn 0.500 0.319 0.370
36 Sn 0.623 0.000 0.570
37 Sn 0.500 0.680 0.130
38 Sn 0.386 0.000 0.941
39 Sn 0.179 0.123 0.250
40 Sn 0.809 0.886 0.250
41 Sn 0.320 0.500 0.870
42 Sn 0.000 0.614 0.059
43 Sn 0.114 0.809 0.750
44 Sn 0.681 0.500 0.630
45 Sn 0.000 0.377 0.430
46 Sn 0.877 0.180 0.750
47 Sn 0.681 0.500 0.870
48 Sn 0.000 0.377 0.070
49 Sn 0.320 0.500 0.630
50 Sn 0.000 0.614 0.441
51 Sn 0.877 0.821 0.750
52 Sn 0.114 0.191 0.750
53 Sn 0.250 0.000 0.750
54 Sn 0.000 0.750 0.250

=====

First-principles (PBE) data for K8SrTe6 after structural relaxation, as listed in the Materials Project database.

Results
Formation enthalpy at 0 K   -118 kJ/mol of atoms
VASP energy   -45.221 eV for the cell shown
MP2020-corrected energy   -3.1835 eV per atom

a = 10.182 Å, b = 10.182 Å, c = 10.182 Å
α = 95.44°, β = 95.44°, γ = 144.13°
Sites, in units of the cell vectors:
1 K 0.963 0.155 0.633
2 K 0.522 0.330 0.367
3 K 0.478 0.845 0.808
4 K 0.037 0.670 0.192
5 K 0.670 0.037 0.192
6 K 0.845 0.478 0.808
7 K 0.330 0.522 0.367
8 K 0.155 0.963 0.633
9 Sr 0.500 0.500 0.000
10 Te 0.500 0.000 0.500
11 Te 0.000 0.500 0.500
12 Te 0.884 0.884 0.301
13 Te 0.583 0.583 0.699
14 Te 0.417 0.116 0.000
15 Te 0.116 0.417 0.000

=====

First-principles (PBE) data for KTaTe3 after structural relaxation, as listed in the Materials Project database.

Results
Formation enthalpy at 0 K   -80 kJ/mol of atoms
Size of the total moment   0.000 μB per atom
VASP energy   -505.170 eV for the cell shown
MP2020-corrected energy   -5.3049 eV per atom

a = 14.269 Å, b = 7.986 Å, c = 31.329 Å
α = 89.92°, β = 90.00°, γ = 90.00°
Sites, in units of the cell vectors:
1 K 0.948 0.281 0.550
2 K 0.052 0.719 0.450
3 K 0.552 0.281 0.050
4 K 0.910 0.237 0.141
5 K 0.965 0.224 0.352
6 K 0.892 0.212 0.750
7 K 0.448 0.719 0.950
8 K 0.392 0.788 0.750
9 K 0.881 0.227 0.949
10 K 0.119 0.773 0.051
11 K 0.410 0.763 0.359
12 K 0.535 0.224 0.852
13 K 0.035 0.776 0.648
14 K 0.090 0.763 0.859
15 K 0.381 0.773 0.551
16 K 0.619 0.227 0.449
17 K 0.108 0.788 0.250
18 K 0.590 0.237 0.641
19 K 0.465 0.776 0.148
20 K 0.608 0.212 0.250
21 Ta 0.817 0.775 0.195
22 Ta 0.257 0.314 0.104
23 Ta 0.758 0.766 0.091
24 Ta 0.243 0.314 0.604
25 Ta 0.757 0.686 0.396
26 Ta 0.786 0.650 0.298
27 Ta 0.714 0.650 0.798
28 Ta 0.317 0.225 0.305
29 Ta 0.747 0.720 0.492
30 Ta 0.242 0.234 0.909
31 Ta 0.247 0.280 0.008
32 Ta 0.743 0.686 0.896
33 Ta 0.742 0.766 0.591
34 Ta 0.214 0.350 0.702
35 Ta 0.286 0.350 0.202
36 Ta 0.183 0.225 0.805
37 Ta 0.258 0.234 0.409
38 Ta 0.253 0.280 0.508
39 Ta 0.683 0.775 0.695
40 Ta 0.753 0.720 0.992
41 Te 0.216 0.542 0.946
42 Te 0.622 0.477 0.736
43 Te 0.089 0.321 0.059
44 Te 0.691 0.526 0.153
45 Te 0.431 0.264 0.150
46 Te 0.198 0.002 0.348
47 Te 0.862 0.679 0.736
48 Te 0.284 0.542 0.446
49 Te 0.846 0.866 0.833
50 Te 0.268 0.615 0.655
51 Te 0.635 0.983 0.756
52 Te 0.826 0.962 0.439
53 Te 0.911 0.679 0.941
54 Te 0.122 0.067 0.962
55 Te 0.603 0.839 0.045
56 Te 0.716 0.458 0.554
57 Te 0.397 0.161 0.955
58 Te 0.154 0.134 0.167
59 Te 0.802 0.998 0.652
60 Te 0.768 0.385 0.845
61 Te 0.135 0.017 0.744
62 Te 0.378 0.523 0.264
63 Te 0.732 0.385 0.345
64 Te 0.069 0.264 0.650
65 Te 0.638 0.679 0.236
66 Te 0.174 0.038 0.561
67 Te 0.326 0.038 0.061
68 Te 0.878 0.933 0.038
69 Te 0.411 0.321 0.559
70 Te 0.878 0.477 0.236
71 Te 0.103 0.161 0.455
72 Te 0.553 0.751 0.636
73 Te 0.302 0.002 0.848
74 Te 0.053 0.249 0.864
75 Te 0.122 0.523 0.764
76 Te 0.138 0.321 0.264
77 Te 0.346 0.134 0.667
78 Te 0.931 0.736 0.350
79 Te 0.865 0.983 0.256
80 Te 0.698 0.998 0.152
81 Te 0.622 0.933 0.538
82 Te 0.309 0.474 0.847
83 Te 0.232 0.615 0.155
84 Te 0.378 0.067 0.462
85 Te 0.343 0.541 0.048
86 Te 0.362 0.321 0.764
87 Te 0.365 0.017 0.244
88 Te 0.674 0.962 0.939
89 Te 0.447 0.249 0.364
90 Te 0.843 0.459 0.452
91 Te 0.157 0.541 0.548
92 Te 0.589 0.679 0.441
93 Te 0.657 0.459 0.952
94 Te 0.784 0.458 0.054
95 Te 0.809 0.526 0.653
96 Te 0.947 0.751 0.136
97 Te 0.897 0.839 0.545
98 Te 0.569 0.736 0.850
99 Te 0.191 0.474 0.347
100 Te 0.654 0.866 0.333